# PBE with a Hubbard U MgFe4O4F4, optimized geometry
data_MgFe4O4F4
_symmetry_space_group_name_H-M 'P 1 m 1'
_symmetry_Int_Tables_number 6
_cell_length_a 5.238
_cell_length_b 3.029
_cell_length_c 9.927
_cell_angle_alpha 90.00
_cell_angle_beta 93.40
_cell_angle_gamma 90.00
loop_
_symmetry_equiv_pos_as_xyz
'x,y,z'
'x,-y,z'
loop_
_atom_site_label
_atom_site_fract_x
_atom_site_fract_y
_atom_site_fract_z
Mg1 0.000 0.000 0.000
Fe1 0.331 0.000 0.505
Fe2 0.523 0.000 0.978
Fe3 0.861 0.500 0.283
Fe4 0.915 0.500 0.721
O1 0.065 0.000 0.357
O2 0.197 0.500 0.594
O3 0.758 0.000 0.153
O4 0.771 0.500 0.908
F1 0.211 0.000 0.842
F2 0.242 0.500 0.068
F3 0.552 0.500 0.397
F4 0.674 0.000 0.628
# Formation energy = -208 kJ per mole of atoms
# Energy above the most stable polymorph in this dataset = 0.055 eV per atom
# M_tot = 18.00 μB/f.u.